[1]
Computed, not measured: Cu3Sb after structural relaxation at the GGA-PBE level of DFT.

abc: 4.4024 4.4024 4.4024
angles: 60.00 60.00 60.00
Positions (direct):
Cu (0.7500, 0.7500, 0.7500)
Cu (0.5000, 0.5000, 0.5000)
Cu (0.2500, 0.2500, 0.2500)
Sb (0.0000, 0.0000, 0.0000)

E_tot in eV/atom: -3.93
MP2020-corrected energy in eV per atom: -3.974
Total magnetization in μB/f.u.: 0.000

---

[2]
Computed, not measured: LiTiSiO4 after structural relaxation at the GGA-PBE level of DFT.

abc: 5.0665 5.0665 5.9796
angles: 90.00 90.00 112.00
Positions (direct):
O (0.7657, 0.2343, 0.9696)
O (0.2409, 0.2959, 0.2500)
O (0.7041, 0.7591, 0.2500)
O (0.2959, 0.2409, 0.7500)
O (0.7591, 0.7041, 0.7500)
O (0.7657, 0.2343, 0.5304)
O (0.2343, 0.7657, 0.0304)
O (0.2343, 0.7657, 0.4696)
Si (0.6515, 0.3485, 0.7500)
Si (0.3485, 0.6515, 0.2500)
Li (0.3371, 0.6629, 0.7500)
Li (0.6629, 0.3371, 0.2500)
Ti (0.0000, 0.0000, 0.0000)
Ti (0.0000, 0.0000, 0.5000)

E_tot in eV/atom: -7.67
MP2020-corrected energy in eV per atom: -8.058
Total magnetization in μB/f.u.: 0.345

---

[3]
Computed, not measured: Fe2Cu13Ge2S16 after structural relaxation at the GGA-PBE level of DFT.

abc: 10.5502 10.5502 10.5502
angles: 90.00 90.00 90.00
Positions (direct):
Cu (0.5000, 0.5000, 0.5000)
Cu (0.5000, 0.7556, 0.0000)
Cu (0.7534, 0.5000, 0.5000)
Cu (0.0000, 0.2602, 0.0000)
Cu (0.0000, 0.0000, 0.7398)
Cu (0.5000, 0.5000, 0.2466)
Cu (0.2446, 0.5000, 0.0000)
Cu (0.7398, 0.0000, 0.0000)
Cu (0.5000, 0.0000, 0.7554)
Cu (0.5000, 0.5000, 0.7534)
Cu (0.0000, 0.0000, 0.0000)
Cu (0.2444, 0.0000, 0.5000)
Cu (0.0000, 0.7554, 0.5000)
Cu (0.7554, 0.5000, 0.0000)
Cu (0.0000, 0.5000, 0.7556)
Cu (0.2466, 0.5000, 0.5000)
Cu (0.2602, 0.0000, 0.0000)
Cu (0.0000, 0.5000, 0.2444)
Cu (0.0000, 0.0000, 0.2602)
Cu (0.5000, 0.7534, 0.5000)
Cu (0.5000, 0.2444, 0.0000)
Cu (0.5000, 0.0000, 0.2446)
Cu (0.5000, 0.2466, 0.5000)
Cu (0.0000, 0.2446, 0.5000)
Cu (0.0000, 0.7398, 0.0000)
Cu (0.7556, 0.0000, 0.5000)
S (0.6258, 0.1231, 0.6257)
S (0.6257, 0.6258, 0.1231)
S (0.6276, 0.8704, 0.8703)
S (0.1296, 0.8703, 0.3724)
S (0.6288, 0.6288, 0.6288)
S (0.1231, 0.6257, 0.6258)
S (0.3724, 0.8704, 0.1297)
S (0.3742, 0.8769, 0.6257)
S (0.8703, 0.6276, 0.8704)
S (0.6257, 0.3742, 0.8769)
S (0.3743, 0.3742, 0.1231)
S (0.6288, 0.3712, 0.3712)
S (0.3742, 0.1231, 0.3743)
S (0.1297, 0.6276, 0.1296)
S (0.1231, 0.3743, 0.3742)
S (0.8726, 0.1274, 0.8726)
S (0.8769, 0.3743, 0.6258)
S (0.1274, 0.8726, 0.8726)
S (0.3712, 0.3712, 0.6288)
S (0.3712, 0.6288, 0.3712)
S (0.6258, 0.8769, 0.3743)
S (0.8769, 0.6257, 0.3742)
S (0.8704, 0.1297, 0.3724)
S (0.1274, 0.1274, 0.1274)
S (0.3724, 0.1296, 0.8703)
S (0.8704, 0.8703, 0.6276)
S (0.8726, 0.8726, 0.1274)
S (0.1297, 0.3724, 0.8704)
S (0.8703, 0.3724, 0.1296)
S (0.3743, 0.6258, 0.8769)
S (0.1296, 0.1297, 0.6276)
S (0.6276, 0.1296, 0.1297)
Fe (0.2492, 0.2492, 0.7508)
Fe (0.7508, 0.2492, 0.2492)
Fe (0.2492, 0.7508, 0.2492)
Fe (0.7508, 0.7508, 0.7508)
Ge (0.2533, 0.7467, 0.7467)
Ge (0.2533, 0.2533, 0.2533)
Ge (0.7467, 0.2533, 0.7467)
Ge (0.7467, 0.7467, 0.2533)

E_tot in eV/atom: -4.69
MP2020-corrected energy in eV per atom: -4.934
Total magnetization in μB/f.u.: 5.382

---

[4]
Computed, not measured: NbNO after structural relaxation at the GGA-PBE level of DFT.

abc: 6.6942 6.6942 6.8371
angles: 74.41 74.41 34.85
Positions (direct):
O (0.9431, 0.9431, 0.3761)
O (0.0569, 0.0569, 0.6239)
O (0.1283, 0.1283, 0.9910)
O (0.8717, 0.8717, 0.0090)
Nb (0.8958, 0.8958, 0.7130)
Nb (0.2085, 0.2085, 0.7065)
Nb (0.7915, 0.7915, 0.2935)
Nb (0.1042, 0.1042, 0.2870)
N (0.3610, 0.3610, 0.7302)
N (0.7407, 0.7407, 0.6424)
N (0.2593, 0.2593, 0.3576)
N (0.6390, 0.6390, 0.2698)

E_tot in eV/atom: -9.37
MP2020-corrected energy in eV per atom: -9.594
Total magnetization in μB/f.u.: 0.000

---

[5]
Computed, not measured: CdAu after structural relaxation at the GGA-PBE level of DFT.

abc: 3.0871 4.9196 5.1532
angles: 90.00 90.00 90.00
Positions (direct):
Au (0.5000, 0.2500, 0.1893)
Au (0.5000, 0.7500, 0.8107)
Cd (0.0000, 0.7500, 0.3058)
Cd (0.0000, 0.2500, 0.6942)

E_tot in eV/atom: -2.27

---

[6]
Computed, not measured: PtCl6O2 after structural relaxation at the GGA-PBE level of DFT.

abc: 6.4969 6.4969 6.4969
angles: 60.00 60.00 60.00
Positions (direct):
Cl (0.2496, 0.7504, 0.2496)
Cl (0.7504, 0.7504, 0.2496)
Cl (0.7504, 0.2496, 0.2496)
Cl (0.2496, 0.2496, 0.7504)
Cl (0.2496, 0.7504, 0.7504)
Cl (0.7504, 0.2496, 0.7504)
Pt (0.0000, 0.0000, 0.0000)
O (0.7500, 0.7500, 0.7500)
O (0.2500, 0.2500, 0.2500)

E_tot in eV/atom: -2.21
MP2020-corrected energy in eV per atom: -2.362
Total magnetization in μB/f.u.: 0.074

---

[7]
Computed, not measured: Mn4Fe8Si3Ge after structural relaxation at the GGA-PBE level of DFT.

abc: 13.1830 13.1830 13.1830
angles: 17.33 17.33 17.33
Positions (direct):
Fe (0.9376, 0.9376, 0.9376)
Fe (0.5641, 0.5641, 0.5641)
Fe (0.4359, 0.4359, 0.4359)
Fe (0.1888, 0.1888, 0.1888)
Fe (0.3126, 0.3126, 0.3126)
Fe (0.8112, 0.8112, 0.8112)
Fe (0.0624, 0.0624, 0.0624)
Fe (0.6874, 0.6874, 0.6874)
Mn (0.3747, 0.3747, 0.3747)
Mn (0.1247, 0.1247, 0.1247)
Mn (0.8753, 0.8753, 0.8753)
Mn (0.6253, 0.6253, 0.6253)
Si (0.2503, 0.2503, 0.2503)
Si (0.7497, 0.7497, 0.7497)
Si (0.0000, 0.0000, 0.0000)
Ge (0.5000, 0.5000, 0.5000)

E_tot in eV/atom: -8.11
Total magnetization in μB/f.u.: 11.991

---

[8]
Computed, not measured: Cs2Te5 after structural relaxation at the GGA-PBE level of DFT.

abc: 7.9181 7.9181 10.3572
angles: 90.00 90.00 104.32
Positions (direct):
Te (0.8905, 0.1095, 0.7500)
Te (0.6674, 0.8798, 0.5419)
Te (0.6674, 0.8798, 0.9581)
Te (0.1202, 0.3326, 0.9581)
Te (0.3326, 0.1202, 0.4581)
Te (0.1095, 0.8905, 0.2500)
Te (0.3326, 0.1202, 0.0419)
Te (0.1202, 0.3326, 0.5419)
Te (0.8798, 0.6674, 0.0419)
Te (0.8798, 0.6674, 0.4581)
Cs (0.4298, 0.5702, 0.2500)
Cs (0.2083, 0.7917, 0.7500)
Cs (0.7917, 0.2083, 0.2500)
Cs (0.5702, 0.4298, 0.7500)

E_tot in eV/atom: -3.06
MP2020-corrected energy in eV per atom: -3.362
Total magnetization in μB/f.u.: 0.007

---

[9]
Computed, not measured: SiO2 after structural relaxation at the GGA-PBE level of DFT.

abc: 6.0430 6.0430 6.0430
angles: 88.01 88.01 88.01
Positions (direct):
O (0.0000, 0.5000, 0.5000)
O (0.7258, 0.7274, 0.2479)
O (0.5000, 0.0000, 0.0000)
O (0.7274, 0.2479, 0.7258)
O (0.0000, 0.0000, 0.5000)
O (0.2742, 0.2726, 0.7521)
O (0.2726, 0.7521, 0.2742)
O (0.7521, 0.2742, 0.2726)
O (0.5000, 0.5000, 0.0000)
O (0.0000, 0.5000, 0.0000)
O (0.5000, 0.0000, 0.5000)
O (0.2479, 0.7258, 0.7274)
Si (0.4964, 0.1108, 0.7472)
Si (0.1108, 0.7472, 0.4964)
Si (0.8892, 0.2528, 0.5036)
Si (0.7472, 0.4964, 0.1108)
Si (0.2528, 0.5036, 0.8892)
Si (0.5036, 0.8892, 0.2528)

E_tot in eV/atom: -7.66
MP2020-corrected energy in eV per atom: -8.122
Total magnetization in μB/f.u.: 0.000

---

[10]
Computed, not measured: Pm2ZnRu after structural relaxation at the GGA-PBE level of DFT.

abc: 5.0525 5.0525 5.0525
angles: 60.00 60.00 60.00
Positions (direct):
Ru (0.5000, 0.5000, 0.5000)
Pm (0.7500, 0.7500, 0.7500)
Pm (0.2500, 0.2500, 0.2500)
Zn (0.0000, 0.0000, 0.0000)

E_tot in eV/atom: -5.27

---

[11]
Computed, not measured: K3EuCl6 after structural relaxation at the GGA-PBE level of DFT.

abc: 8.0291 8.0291 8.0291
angles: 60.00 60.00 60.00
Positions (direct):
K (0.2500, 0.2500, 0.2500)
K (0.7500, 0.7500, 0.7500)
K (0.5000, 0.5000, 0.5000)
Cl (0.2378, 0.2378, 0.7622)
Cl (0.2378, 0.7622, 0.7622)
Cl (0.7622, 0.2378, 0.7622)
Cl (0.7622, 0.7622, 0.2378)
Cl (0.7622, 0.2378, 0.2378)
Cl (0.2378, 0.7622, 0.2378)
Eu (0.0000, 0.0000, 0.0000)

E_tot in eV/atom: -4.33
MP2020-corrected energy in eV per atom: -4.695
Total magnetization in μB/f.u.: 5.890

---

[12]
Computed, not measured: In10CuAgS16 after structural relaxation at the GGA-PBE level of DFT.

abc: 7.7246 7.7246 10.9203
angles: 90.00 90.00 90.00
Positions (direct):
S (0.7682, 0.0000, 0.3847)
S (0.7470, 0.0000, 0.8738)
S (0.5000, 0.7657, 0.6337)
S (0.2689, 0.5000, 0.8841)
S (0.0000, 0.2530, 0.1262)
S (0.0000, 0.2318, 0.6153)
S (0.2318, 0.0000, 0.3847)
S (0.2343, 0.5000, 0.3663)
S (0.0000, 0.7682, 0.6153)
S (0.5000, 0.2343, 0.6337)
S (0.0000, 0.7470, 0.1262)
S (0.7311, 0.5000, 0.8841)
S (0.5000, 0.2689, 0.1159)
S (0.2530, 0.0000, 0.8738)
S (0.7657, 0.5000, 0.3663)
S (0.5000, 0.7311, 0.1159)
In (0.0000, 0.2606, 0.3671)
In (0.0000, 0.7394, 0.3671)
In (0.5000, 0.2357, 0.8702)
In (0.5000, 0.0000, 0.2496)
In (0.2357, 0.5000, 0.1298)
In (0.0000, 0.5000, 0.7504)
In (0.5000, 0.7643, 0.8702)
In (0.7643, 0.5000, 0.1298)
In (0.7394, 0.0000, 0.6329)
In (0.2606, 0.0000, 0.6329)
Ag (0.5000, 0.5000, 0.5000)
Cu (0.0000, 0.0000, 0.0000)

E_tot in eV/atom: -4.11
MP2020-corrected energy in eV per atom: -4.397
Total magnetization in μB/f.u.: 0.000

---

[13]
Computed, not measured: Sm2Si5Pt3 after structural relaxation at the GGA-PBE level of DFT.

abc: 8.2194 8.2194 8.2194
angles: 136.49 105.11 90.80
Positions (direct):
Si (0.4604, 0.1115, 0.3490)
Si (0.0000, 0.2500, 0.2500)
Si (0.2375, 0.3885, 0.8490)
Si (0.2723, 0.0223, 0.7500)
Si (0.5396, 0.8885, 0.6510)
Si (0.7277, 0.4777, 0.7500)
Si (0.0000, 0.7500, 0.7500)
Si (0.7625, 0.6115, 0.1510)
Si (0.7277, 0.9777, 0.2500)
Si (0.2723, 0.5223, 0.2500)
Pt (0.0261, 0.6368, 0.3894)
Pt (0.5000, 0.7500, 0.2500)
Pt (0.9739, 0.3632, 0.6106)
Pt (0.5000, 0.2500, 0.7500)
Pt (0.7526, 0.8632, 0.8894)
Pt (0.2474, 0.1368, 0.1106)
Sm (0.0998, 0.8694, 0.2304)
Sm (0.6390, 0.3694, 0.2696)
Sm (0.9002, 0.1306, 0.7696)
Sm (0.3610, 0.6306, 0.7304)

E_tot in eV/atom: -6.46

---

[14]
Computed, not measured: SrCaZrNbO6 after structural relaxation at the GGA-PBE level of DFT.

abc: 5.8338 5.8338 5.8338
angles: 60.00 60.00 60.00
Positions (direct):
O (0.7542, 0.7542, 0.2458)
O (0.7542, 0.2458, 0.7542)
O (0.2458, 0.7542, 0.2458)
O (0.7542, 0.2458, 0.2458)
O (0.2458, 0.7542, 0.7542)
O (0.2458, 0.2458, 0.7542)
Sr (0.7500, 0.7500, 0.7500)
Nb (0.0000, 0.0000, 0.0000)
Zr (0.5000, 0.5000, 0.5000)
Ca (0.2500, 0.2500, 0.2500)

E_tot in eV/atom: -8.10
MP2020-corrected energy in eV per atom: -8.514
Total magnetization in μB/f.u.: 0.001

---

[15]
Computed, not measured: Li7Ti11O24 after structural relaxation at the GGA-PBE level of DFT.

abc: 8.8698 5.0848 9.7364
angles: 89.69 90.00 90.00
Positions (direct):
O (0.5000, 0.2095, 0.9658)
O (0.3305, 0.2108, 0.2122)
O (0.5000, 0.8323, 0.7786)
O (0.1654, 0.2136, 0.9677)
O (0.3182, 0.2829, 0.7169)
O (0.6777, 0.6975, 0.5307)
O (0.6818, 0.2829, 0.7169)
O (0.8357, 0.8018, 0.7773)
O (0.1633, 0.6890, 0.2742)
O (0.5000, 0.2768, 0.4517)
O (0.3223, 0.6975, 0.5307)
O (0.6695, 0.2108, 0.2122)
O (0.1643, 0.8018, 0.7773)
O (0.8326, 0.2848, 0.4655)
O (0.0000, 0.8098, 0.0360)
O (0.8367, 0.6890, 0.2742)
O (0.6690, 0.8052, 0.0350)
O (0.1674, 0.2848, 0.4655)
O (0.0000, 0.6859, 0.5360)
O (0.0000, 0.2023, 0.2182)
O (0.3310, 0.8052, 0.0350)
O (0.8346, 0.2136, 0.9677)
O (0.0000, 0.2944, 0.7141)
O (0.5000, 0.6914, 0.2739)
Ti (0.8241, 0.5226, 0.6427)
Ti (0.6625, 0.4874, 0.3689)
Ti (0.5000, 0.9823, 0.1431)
Ti (0.0000, 0.0259, 0.8613)
Ti (0.3375, 0.4874, 0.3689)
Ti (0.1759, 0.5226, 0.6427)
Ti (0.1703, 0.9776, 0.1432)
Ti (0.3344, 0.0148, 0.8553)
Ti (0.0000, 0.4827, 0.3610)
Ti (0.8297, 0.9776, 0.1432)
Ti (0.6656, 0.0148, 0.8553)
Li (0.6600, 0.0650, 0.5411)
Li (0.0000, 0.0577, 0.5378)
Li (0.3400, 0.0650, 0.5411)
Li (0.0000, 0.4415, 0.0374)
Li (0.5000, 0.5259, 0.6497)
Li (0.3323, 0.4381, 0.0345)
Li (0.6677, 0.4381, 0.0345)

E_tot in eV/atom: -8.02
MP2020-corrected energy in eV per atom: -8.410
Total magnetization in μB/f.u.: 3.002

---

[16]
Computed, not measured: CsNb2S4 after structural relaxation at the GGA-PBE level of DFT.

abc: 3.4725 3.4718 17.1577
angles: 90.00 90.00 60.01
Positions (direct):
S (0.3334, 0.3333, 0.6572)
S (0.6666, 0.6667, 0.3428)
S (0.3334, 0.3333, 0.8349)
S (0.6666, 0.6667, 0.1651)
Nb (0.0000, 0.0000, 0.7479)
Nb (0.0000, 0.0000, 0.2521)
Cs (0.0000, 0.0000, 0.5000)

E_tot in eV/atom: -6.39
MP2020-corrected energy in eV per atom: -6.677
Total magnetization in μB/f.u.: 0.001

---

[17]
Computed, not measured: TmRu2 after structural relaxation at the GGA-PBE level of DFT.

abc: 5.2443 5.2443 8.8715
angles: 90.00 90.00 120.06
Positions (direct):
Ru (0.0000, 0.0000, 0.0000)
Ru (0.6573, 0.8287, 0.7500)
Ru (0.1713, 0.3427, 0.7500)
Ru (0.1714, 0.8286, 0.7500)
Ru (0.0000, 0.0000, 0.5000)
Ru (0.8286, 0.1714, 0.2500)
Ru (0.8287, 0.6573, 0.2500)
Ru (0.3427, 0.1713, 0.2500)
Tm (0.3333, 0.6667, 0.4333)
Tm (0.3333, 0.6667, 0.0667)
Tm (0.6667, 0.3333, 0.5667)
Tm (0.6667, 0.3333, 0.9333)

E_tot in eV/atom: -8.06
Total magnetization in μB/f.u.: 0.002